(1)
VASP calculation (PBE) on a relaxed MgB4H18O16 crystal.

Cell and atoms, written as CIF:
```
data_MgB4H18O16
_space_group_name_H-M_alt 'P -1'
_space_group_IT_number 2
_cell_length_a 7.8741
_cell_length_b 8.8566
_cell_length_c 10.6617
_cell_angle_alpha 97.66
_cell_angle_beta 102.90
_cell_angle_gamma 108.64
loop_
_space_group_symop_operation_xyz
'x,y,z'
'-x,-y,-z'
loop_
_atom_site_label
_atom_site_fract_x
_atom_site_fract_y
_atom_site_fract_z
_atom_site_occupancy
Mg1 0.1297 0.3270 0.2256 1
B1 0.2029 0.2187 0.7235 1
B2 0.3082 0.0332 0.5877 1
B3 0.4722 0.2736 0.9180 1
B4 0.4837 0.6827 0.3035 1
H1 0.0101 0.1291 0.3862 1
H2 0.0542 0.4539 0.7511 1
H3 0.0650 0.8014 0.3763 1
H4 0.1101 0.8478 0.1947 1
H5 0.1232 0.8943 0.9861 1
H6 0.1441 0.9973 0.8747 1
H7 0.1892 0.3336 0.9820 1
H8 0.1899 0.2739 0.4854 1
H9 0.1998 0.6244 0.8392 1
H10 0.2248 0.5079 0.0677 1
H11 0.2433 0.6440 0.6027 1
H12 0.2846 0.8304 0.1546 1
H13 0.2986 0.1007 0.2011 1
H14 0.3292 0.5065 0.6294 1
H15 0.3443 0.5746 0.4277 1
H16 0.3662 0.8724 0.4667 1
H17 0.4537 0.2716 0.2958 1
H18 0.4677 0.2653 0.1054 1
O1 0.0265 0.2438 0.7127 1
O2 0.0783 0.8900 0.8898 1
O3 0.0801 0.5737 0.7688 1
O4 0.1083 0.2373 0.3944 1
O5 0.1444 0.3910 0.0458 1
O6 0.1735 0.0533 0.6446 1
O7 0.2062 0.8989 0.1496 1
O8 0.2653 0.8827 0.5068 1
O9 0.2807 0.2248 0.8682 1
O10 0.3371 0.3428 0.6795 1
O11 0.3395 0.5527 0.3326 1
O12 0.3438 0.2233 0.2148 1
O13 0.3443 0.6069 0.5910 1
O14 0.4104 0.6927 0.1619 1
O15 0.4440 0.7081 0.9502 1
O16 0.4790 0.1557 0.6088 1
```

ΔE_f (eV/f.u.): -69.614

=====

(2)
VASP calculation (PBE) on a relaxed MgB12H36O12 crystal.

Cell and atoms, written as CIF:
```
data_MgB12H36O12
_space_group_name_H-M_alt 'F 41 3 2'
_space_group_IT_number 210
_space_group_name_Hall 'F 4d 2 3'
_cell_length_a 16.5853
_cell_length_b 16.5853
_cell_length_c 16.5853
_cell_angle_alpha 90.00
_cell_angle_beta 90.00
_cell_angle_gamma 90.00
loop_
_atom_site_label
_atom_site_fract_x
_atom_site_fract_y
_atom_site_fract_z
_atom_site_occupancy
Mg1 0.0000 0.0000 0.0000 1
B1 0.0002 0.0535 0.4130 1
H1 0.0008 0.0912 0.3506 1
H2 0.0072 0.1931 0.1582 1
H3 0.0173 0.1639 0.9562 1
O1 0.0000 0.0000 0.1271 1
O2 0.0085 0.2415 0.1250 1
```

ΔE_f (eV/f.u.): -47.022

=====

(3)
VASP calculation (PBE) on a relaxed Mg3BH3O6 crystal.

Cell and atoms, written as CIF:
```
data_Mg3BH3O6
_space_group_name_H-M_alt 'P 63/m'
_space_group_IT_number 176
_space_group_name_Hall '-P 6c'
_cell_length_a 9.1164
_cell_length_b 9.1164
_cell_length_c 3.2062
_cell_angle_alpha 90.00
_cell_angle_beta 90.00
_cell_angle_gamma 120.00
loop_
_atom_site_label
_atom_site_fract_x
_atom_site_fract_y
_atom_site_fract_z
_atom_site_occupancy
Mg1 0.0327 0.3760 0.2500 1
B1 0.3333 0.6667 0.7500 1
H1 0.0047 0.8337 0.2500 1
O1 0.0860 0.7940 0.2500 1
O2 0.1577 0.5561 0.7500 1
```

ΔE_f (eV/f.u.): -31.620

=====

(4)
VASP calculation (PBE) on a relaxed MgBPH6O8 crystal.

Cell and atoms, written as CIF:
```
data_MgBPH6O8
_space_group_name_H-M_alt 'R -3 c'
_space_group_IT_number 167
_space_group_name_Hall '-R 3 2"c'
_cell_length_a 15.0024
_cell_length_b 15.0024
_cell_length_c 14.0954
_cell_angle_alpha 90.00
_cell_angle_beta 90.00
_cell_angle_gamma 120.00
loop_
_atom_site_label
_atom_site_fract_x
_atom_site_fract_y
_atom_site_fract_z
_atom_site_occupancy
Mg1 0.0000 0.5003 0.2500 1
B1 0.0000 0.1907 0.7500 1
P1 0.0000 0.1899 0.2500 1
H1 0.0035 0.3037 0.8307 1
H2 0.0270 0.1624 0.9947 1
H3 0.0990 0.2163 0.4213 1
O1 0.0357 0.2641 0.1657 1
O2 0.0383 0.2656 0.6721 1
O3 0.0844 0.1741 0.7879 1
O4 0.0987 0.2030 0.4899 1
```

ΔE_f (eV/f.u.): -35.176

=====

(5)
VASP calculation (PBE) on a relaxed Mg3B2P2H18O20 crystal.

Cell and atoms, written as CIF:
```
data_Mg3B2P2H18O20
_space_group_name_H-M_alt 'P -1'
_space_group_IT_number 2
_cell_length_a 6.3648
_cell_length_b 6.3677
_cell_length_c 9.9083
_cell_angle_alpha 84.06
_cell_angle_beta 85.19
_cell_angle_gamma 73.28
loop_
_space_group_symop_operation_xyz
'x,y,z'
'-x,-y,-z'
loop_
_atom_site_label
_atom_site_fract_x
_atom_site_fract_y
_atom_site_fract_z
_atom_site_occupancy
Mg1 0.0000 0.0000 0.0000 1
Mg2 0.3169 0.3422 0.3321 1
B1 0.2272 0.8788 0.2879 1
P1 0.1430 0.7566 0.7215 1
H1 0.1307 0.3496 0.8523 1
H2 0.1570 0.1595 0.5667 1
H3 0.1689 0.3898 0.6001 1
H4 0.2974 0.6944 0.1232 1
H5 0.3102 0.6820 0.4621 1
H6 0.3186 0.3442 0.0548 1
H7 0.3318 0.1382 0.8624 1
H8 0.4451 0.6616 0.8927 1
H9 0.4956 0.0897 0.6341 1
O1 0.0025 0.0112 0.3372 1
O2 0.0181 0.5821 0.7124 1
O3 0.1844 0.7726 0.8714 1
O4 0.2058 0.2239 0.9162 1
O5 0.2240 0.8490 0.1423 1
O6 0.2459 0.2650 0.5442 1
O7 0.2768 0.6668 0.3676 1
O8 0.3560 0.7085 0.6314 1
O9 0.3870 0.0024 0.3086 1
O10 0.3900 0.4029 0.1212 1
```

ΔE_f (eV/f.u.): -88.501